Record 1
MnPO4 | GGA+U | optimized geometry

Computed properties:
The total energy after the MP2020 corrections comes out at -385.2 eV for the cell shown. The value obtained for the uncorrected energy is -7.29 eV/atom. As for the space-group type: No. 15. For the formation energy, the calculation gives -2.297 eV per atom.

Cell: 9.460 9.460 15.678 Å, 64.80 64.80 30.44°
Fractional coordinates of all 48 atoms:
P 0.775 0.195 0.119
P 0.225 0.805 0.881
P 0.958 0.479 0.636
P 0.805 0.225 0.381
P 0.521 0.042 0.864
P 0.479 0.958 0.136
P 0.042 0.521 0.364
P 0.195 0.775 0.619
O 0.752 0.390 0.054
O 0.390 0.752 0.554
O 0.863 0.278 0.429
O 0.900 0.106 0.860
O 0.137 0.722 0.571
O 0.248 0.610 0.946
O 0.987 0.603 0.266
O 0.397 0.013 0.234
O 0.603 0.987 0.766
O 0.195 0.299 0.901
O 0.100 0.894 0.140
O 0.430 0.677 0.788
O 0.353 0.202 0.054
O 0.570 0.323 0.212
O 0.202 0.353 0.554
O 0.106 0.900 0.360
O 0.299 0.195 0.401
O 0.610 0.248 0.446
O 0.278 0.863 0.929
O 0.798 0.647 0.446
O 0.374 0.887 0.131
O 0.647 0.798 0.946
O 0.113 0.626 0.369
O 0.323 0.570 0.712
O 0.701 0.805 0.599
O 0.894 0.100 0.640
O 0.677 0.430 0.288
O 0.013 0.397 0.734
O 0.626 0.113 0.869
O 0.887 0.374 0.631
O 0.722 0.137 0.071
O 0.805 0.701 0.099
Mn 0.829 0.380 0.526
Mn 0.500 0.000 0.500
Mn 0.380 0.829 0.026
Mn 0.620 0.171 0.974
Mn 0.000 0.500 0.000
Mn 0.657 0.343 0.750
Mn 0.171 0.620 0.474
Mn 0.343 0.657 0.250

---

Record 2
Mn4P3O12 | GGA+U | optimized geometry

Computed properties:
The total energy after the MP2020 corrections comes out at -319.1 eV for the cell shown. The value obtained for the uncorrected energy is -7.61 eV/atom. Its excess energy over the best structure of this formula in the dataset is 0.0000 eV per atom. As for the space-group type: No. 9. For the formation energy, the calculation gives -2.489 eV per atom.

Cell: 8.961 8.961 6.466 Å, 73.01 73.01 95.24°
Fractional coordinates of all 38 atoms:
O 0.715 0.476 0.757
O 0.990 0.663 0.898
O 0.279 0.476 0.796
O 0.281 0.810 0.032
O 0.007 0.338 0.101
O 0.663 0.990 0.398
O 0.338 0.007 0.601
O 0.610 0.956 0.809
O 0.173 0.182 0.880
O 0.476 0.715 0.257
O 0.810 0.281 0.532
O 0.393 0.040 0.187
O 0.714 0.530 0.204
O 0.040 0.393 0.687
O 0.530 0.714 0.704
O 0.476 0.279 0.296
O 0.823 0.826 0.613
O 0.720 0.194 0.967
O 0.275 0.526 0.233
O 0.526 0.275 0.733
O 0.182 0.173 0.380
O 0.194 0.720 0.467
O 0.956 0.610 0.309
O 0.826 0.823 0.113
P 0.696 0.301 0.750
P 0.128 0.343 0.866
P 0.343 0.128 0.366
P 0.871 0.662 0.129
P 0.301 0.696 0.250
P 0.662 0.871 0.629
Mn 0.943 0.646 0.610
Mn 0.516 0.525 0.544
Mn 0.646 0.943 0.110
Mn 0.732 0.259 0.258
Mn 0.350 0.059 0.887
Mn 0.525 0.516 0.044
Mn 0.059 0.350 0.387
Mn 0.259 0.732 0.758

---

Record 3
Mn3P4O16 | GGA+U | optimized geometry

Computed properties:
The total energy after the MP2020 corrections comes out at -358.6 eV for the cell shown. The value obtained for the uncorrected energy is -7.10 eV/atom. Its excess energy over the best structure of this formula in the dataset is 0.0000 eV per atom. As for the space-group type: No. 2. For the formation energy, the calculation gives -2.216 eV per atom.

Cell: 6.322 10.008 10.890 Å, 88.22 90.00 71.66°
Fractional coordinates of all 46 atoms:
O 0.342 0.696 0.492
O 0.307 0.481 0.354
O 0.017 0.310 0.730
O 0.058 0.310 0.278
O 0.037 0.304 0.008
O 0.756 0.513 0.860
O 0.673 0.310 0.230
O 0.963 0.696 0.992
O 0.942 0.690 0.722
O 0.401 0.186 0.614
O 0.233 0.965 0.467
O 0.368 0.166 0.882
O 0.803 0.964 0.967
O 0.693 0.519 0.646
O 0.212 0.481 0.854
O 0.788 0.519 0.146
O 0.599 0.814 0.386
O 0.983 0.690 0.270
O 0.269 0.487 0.640
O 0.632 0.310 0.778
O 0.327 0.690 0.770
O 0.465 0.166 0.382
O 0.658 0.304 0.508
O 0.412 0.186 0.114
O 0.535 0.834 0.618
O 0.588 0.814 0.886
O 0.767 0.035 0.533
O 0.244 0.487 0.140
O 0.731 0.513 0.360
O 0.197 0.036 0.033
O 0.368 0.690 0.222
O 0.632 0.834 0.118
P 0.750 0.828 0.991
P 0.818 0.402 0.255
P 0.250 0.172 0.009
P 0.780 0.402 0.755
P 0.182 0.598 0.745
P 0.422 0.828 0.491
P 0.578 0.172 0.509
P 0.220 0.598 0.245
Mn 0.635 0.693 0.749
Mn 0.327 0.308 0.751
Mn 0.500 0.500 0.500
Mn 0.000 0.500 0.000
Mn 0.365 0.307 0.251
Mn 0.673 0.692 0.249

---

- The lowest total energy after the MP2020 corrections belongs to which entry?
  MnPO4

---

- Among the records above, which one has the lowest uncorrected energy?
  Mn4P3O12

---

- Look up the uncorrected energy of the first one.
  -7.29 eV/atom

---

- What is the total energy after the MP2020 corrections in the third record?
  -358.6 eV for the cell shown